First-principles (GGA+U) data for BaNdMgMn2O5 after structural relaxation, as listed in Materials Project.

Results
Energy of formation from the pure elements: -22.3 eV/f.u.
Raw total energy: -6.68 eV per atom
Space-group type: Pmm2 (25)

a b c (Å): 3.8660 5.0610 8.3693
angles (deg): 90.00 90.00 90.00
Last column: nearest neighbours and their distance in Å.
Atoms (fractional coordinates):
1 Ba 0.0000 0.0000 0.0000  4 O 2.58-2.63
2 Nd 0.0000 0.0000 0.5625  2 O 2.28
3 Mg 0.0000 0.5000 0.1887  3 O 1.94-2.04
4 Mn 0.5000 0.5000 0.4386  2 O 1.93
5 Mn 0.5000 0.5000 0.8245  2 O 2.08
6 O 0.0000 0.5000 0.4328  2 Mn 1.93, 1 Mg 2.04
7 O 0.0000 0.5000 0.9165  2 Mn 2.08, 1 Mg 2.28
8 O 0.5000 0.0000 0.4183  2 Nd 2.28, 2 Mn 2.54
9 O 0.5000 0.0000 0.7957  2 Mn 2.54, 2 Ba 2.58, 2 Nd 2.75
10 O 0.5000 0.5000 0.1700  2 Mg 1.94